Entry from Materials Project: a relaxed structure of FeP2O7 (PBE+U).

## Properties
- ΔH_f (0 K) (eV per atom) = -2.19
- energy above the most stable polymorph in this dataset (eV/atom) = 0.069
- piezoelectric modulus e_max (C/m2) = 0.54

Unit cell a=5.418 b=5.418 c=9.169 alpha=97.58 beta=97.58 gamma=102.27
Positions (direct):
Fe (0.174, 0.826, 0.500)
Fe (0.826, 0.174, 0.000)
P (0.293, 0.325, 0.288)
P (0.325, 0.293, 0.788)
P (0.714, 0.740, 0.694)
P (0.740, 0.714, 0.194)
O (0.136, 0.177, 0.140)
O (0.145, 0.413, 0.875)
O (0.151, 0.470, 0.391)
O (0.177, 0.136, 0.640)
O (0.413, 0.145, 0.375)
O (0.470, 0.151, 0.891)
O (0.501, 0.546, 0.247)
O (0.531, 0.850, 0.594)
O (0.546, 0.501, 0.747)
O (0.641, 0.911, 0.111)
O (0.850, 0.531, 0.094)
O (0.854, 0.918, 0.838)
O (0.911, 0.641, 0.611)
O (0.918, 0.854, 0.338)